(1)
Here is an optimized crystal structure of Re3S4Br3 from Materials Project. Energies are from PBE.

Unit cell a=9.2340 b=9.2505 c=12.9922 alpha=83.29 beta=83.23 gamma=82.66
Closest atoms and distances in Å follow each position.
Atoms (fractional coordinates):
Re (0.0118, 0.0136, 0.3539)  4 S 2.42-2.43, 1 Br 2.51, 4 Re 2.62-2.71
Re (0.1131, 0.8091, 0.5002)  4 S 2.40-2.41, 1 Br 2.50, 3 Re 2.66-2.68
Re (0.1699, 0.0854, 0.4917)  4 S 2.42-2.44, 1 Br 2.53, 4 Re 2.62-2.66
Re (0.3058, 0.5275, 0.0561)  4 S 2.40-2.47, 1 Br 2.52, 4 Re 2.61-2.68
Re (0.4408, 0.4229, 0.8811)  4 S 2.38-2.43, 1 Br 2.49
Re (0.4792, 0.6885, 0.9320)  4 S 2.42-2.44, 1 Br 2.52, 4 Re 2.61-2.69
Re (0.5208, 0.3115, 0.0680)  4 S 2.42-2.44, 1 Br 2.52, 4 Re 2.61-2.69
Re (0.5592, 0.5771, 0.1189)  4 S 2.38-2.43, 1 Br 2.49
Re (0.6942, 0.4725, 0.9439)  4 S 2.40-2.47, 1 Br 2.52, 4 Re 2.61-2.68
Re (0.8301, 0.9146, 0.5083)  4 S 2.42-2.44, 1 Br 2.53, 4 Re 2.62-2.66
Re (0.8869, 0.1909, 0.4998)  4 S 2.40-2.41, 1 Br 2.50, 3 Re 2.66-2.68
Re (0.9882, 0.9864, 0.6461)  4 S 2.42-2.43, 1 Br 2.51, 4 Re 2.62-2.71
S (0.0433, 0.2382, 0.6237)  3 Re 2.40-2.44
S (0.0652, 0.2632, 0.3600)  3 Re 2.40-2.43
S (0.2468, 0.8931, 0.6253)  3 Re 2.40-2.43
S (0.2485, 0.6264, 0.8838)  3 Re 2.41-2.44
S (0.2697, 0.9229, 0.3612)  3 Re 2.41-2.43
S (0.2842, 0.2872, 0.0112)  3 Re 2.40-2.43
S (0.3621, 0.7670, 0.0962)  3 Re 2.38-2.47
S (0.3987, 0.4206, 0.2202)  3 Re 2.38-2.45
S (0.6013, 0.5794, 0.7798)  3 Re 2.38-2.45
S (0.6379, 0.2330, 0.9038)  3 Re 2.38-2.47
S (0.7158, 0.7128, 0.9888)  3 Re 2.40-2.43
S (0.7303, 0.0771, 0.6388)  3 Re 2.41-2.43
S (0.7515, 0.3736, 0.1162)  3 Re 2.41-2.44
S (0.7532, 0.1069, 0.3747)  3 Re 2.40-2.43
S (0.9348, 0.7368, 0.6400)  3 Re 2.40-2.43
S (0.9567, 0.7618, 0.3763)  3 Re 2.40-2.44
Br (0.0237, 0.0315, 0.1589)  1 Re 2.51
Br (0.0443, 0.5752, 0.1365)  1 Re 2.52
Br (0.2650, 0.5649, 0.4971)  1 Re 2.50
Br (0.3559, 0.3197, 0.7327)  1 Re 2.49
Br (0.4035, 0.2044, 0.4829)  1 Re 2.53
Br (0.4475, 0.9461, 0.8436)  1 Re 2.52
Br (0.5525, 0.0539, 0.1564)  1 Re 2.52
Br (0.5965, 0.7956, 0.5171)  1 Re 2.53
Br (0.6441, 0.6803, 0.2673)  1 Re 2.49
Br (0.7350, 0.4351, 0.5029)  1 Re 2.50
Br (0.9557, 0.4248, 0.8635)  1 Re 2.52
Br (0.9763, 0.9685, 0.8411)  1 Re 2.51

Computed properties:
The value obtained for the formation energy is -0.793 eV per atom. The symmetry is P-1. The theoretical density comes out at 5.7 g cm⁻³. Its crystal system is triclinic.

***

(2)
Here is an optimized crystal structure of Re3S7Br7 from Materials Project. Energies are from PBE.

Unit cell a=9.9751 b=9.9751 c=26.0226 alpha=90.00 beta=90.00 gamma=120.00
Closest atoms and distances in Å follow each position.
Atoms (fractional coordinates):
Re (0.0274, 0.8575, 0.0000)  5 S 2.36-2.47, 2 Br 2.56
Re (0.1425, 0.1699, 0.0000)  5 S 2.36-2.47, 2 Br 2.56
Re (0.1611, 0.5285, 0.2441)  5 S 2.36-2.47, 2 Br 2.55-2.57
Re (0.1699, 0.1425, 0.5000)  5 S 2.36-2.47, 2 Br 2.56
Re (0.3674, 0.8389, 0.2441)  5 S 2.36-2.47, 2 Br 2.55-2.57
Re (0.4715, 0.6326, 0.2441)  5 S 2.36-2.47, 2 Br 2.55-2.57
Re (0.5285, 0.1611, 0.7441)  5 S 2.36-2.47, 2 Br 2.55-2.57
Re (0.6326, 0.4715, 0.7441)  5 S 2.36-2.47, 2 Br 2.55-2.57
Re (0.8301, 0.9726, 0.0000)  5 S 2.36-2.47, 2 Br 2.56
Re (0.8389, 0.3674, 0.7441)  5 S 2.36-2.47, 2 Br 2.55-2.57
Re (0.8575, 0.0274, 0.5000)  5 S 2.36-2.47, 2 Br 2.56
Re (0.9726, 0.8301, 0.5000)  5 S 2.36-2.47, 2 Br 2.56
S (0.0000, 0.0000, 0.0673)  3 Re 2.36
S (0.0000, 0.0000, 0.5673)  3 Re 2.36
S (0.0321, 0.1975, 0.4363)  1 S 2.08
S (0.0496, 0.3057, 0.5062)  1 S 2.08
S (0.0847, 0.7278, 0.2378)  1 S 2.08
S (0.1654, 0.9679, 0.4363)  1 S 2.08
S (0.1730, 0.7062, 0.3078)  1 S 2.08
S (0.1975, 0.0321, 0.9363)  1 S 2.08
S (0.2562, 0.9504, 0.5062)  1 S 2.08
S (0.2722, 0.3570, 0.2378)  1 S 2.08
S (0.2938, 0.4668, 0.3078)  1 S 2.08
S (0.3057, 0.0496, 0.0062)  1 S 2.08
S (0.3333, 0.6667, 0.1766)  3 Re 2.36
S (0.3570, 0.2722, 0.7378)  1 S 2.08
S (0.4668, 0.2938, 0.8078)  1 S 2.08
S (0.5332, 0.8270, 0.3078)  1 S 2.08
S (0.6430, 0.9153, 0.2378)  1 S 2.08
S (0.6667, 0.3333, 0.6766)  3 Re 2.36
S (0.6943, 0.7438, 0.5062)  1 S 2.08
S (0.7062, 0.1730, 0.8078)  1 S 2.08
S (0.7278, 0.0847, 0.7378)  1 S 2.08
S (0.7438, 0.6943, 0.0062)  1 S 2.08
S (0.8025, 0.8346, 0.4363)  1 S 2.08
S (0.8270, 0.5332, 0.8078)  1 S 2.08
S (0.8346, 0.8025, 0.9363)  1 S 2.08
S (0.9153, 0.6430, 0.7378)  1 S 2.08
S (0.9504, 0.2562, 0.0062)  1 S 2.08
S (0.9679, 0.1654, 0.9363)  1 S 2.08
Br (0.0000, 0.0000, 0.3538)  3 S 2.82
Br (0.0000, 0.0000, 0.8538)  3 S 2.82
Br (0.0171, 0.4039, 0.6686)  1 Re 2.55
Br (0.0453, 0.7063, 0.0766)  1 Re 2.56
Br (0.0748, 0.6640, 0.9500)  1 Re 2.56
Br (0.0790, 0.4164, 0.7954)  1 Re 2.57
Br (0.2937, 0.3389, 0.0766)  1 Re 2.56
Br (0.3333, 0.6667, 0.3900)  3 S 2.81
Br (0.3360, 0.4108, 0.9500)  1 Re 2.56
Br (0.3374, 0.9210, 0.7954)  1 Re 2.57
Br (0.3389, 0.2937, 0.5766)  1 Re 2.56
Br (0.3868, 0.9829, 0.6686)  1 Re 2.55
Br (0.4039, 0.0171, 0.1686)  1 Re 2.55
Br (0.4108, 0.3360, 0.4500)  1 Re 2.56
Br (0.4164, 0.0790, 0.2954)  1 Re 2.57
Br (0.5836, 0.6626, 0.7954)  1 Re 2.57
Br (0.5892, 0.9252, 0.9500)  1 Re 2.56
Br (0.5961, 0.6132, 0.6686)  1 Re 2.55
Br (0.6132, 0.5961, 0.1686)  1 Re 2.55
Br (0.6611, 0.9547, 0.0766)  1 Re 2.56
Br (0.6626, 0.5836, 0.2954)  1 Re 2.57
Br (0.6640, 0.0748, 0.4500)  1 Re 2.56
Br (0.6667, 0.3333, 0.8900)  3 S 2.81
Br (0.7063, 0.0453, 0.5766)  1 Re 2.56
Br (0.9210, 0.3374, 0.2954)  1 Re 2.57
Br (0.9252, 0.5892, 0.4500)  1 Re 2.56
Br (0.9547, 0.6611, 0.5766)  1 Re 2.56
Br (0.9829, 0.3868, 0.1686)  1 Re 2.55

Computed properties:
The value obtained for the formation energy is -0.786 eV per atom. The symmetry is P31c. The theoretical density comes out at 4.0 g cm⁻³. Its crystal system is trigonal.

***

(3)
Here is an optimized crystal structure of Re6Se7Br4 from Materials Project. Energies are from PBE.

Unit cell a=12.2091 b=12.2091 c=12.2091 alpha=48.28 beta=48.28 gamma=48.28
Closest atoms and distances in Å follow each position.
Atoms (fractional coordinates):
Re (0.0140, 0.1454, 0.8406)  4 Se 2.53-2.55, 4 Re 2.64-2.65, 1 Br 2.66
Re (0.0529, 0.9210, 0.2275)  3 Se 2.50-2.56, 2 Br 2.65-2.66, 4 Re 2.65-2.66
Re (0.1454, 0.8406, 0.0140)  4 Se 2.53-2.55, 4 Re 2.64-2.65, 1 Br 2.66
Re (0.2275, 0.0529, 0.9210)  3 Se 2.50-2.56, 2 Br 2.65-2.66, 4 Re 2.65-2.66
Re (0.3406, 0.6454, 0.5140)  4 Se 2.53-2.55, 4 Re 2.64-2.65, 1 Br 2.66
Re (0.4210, 0.5529, 0.7275)  3 Se 2.50-2.56, 2 Br 2.65-2.66, 4 Re 2.65-2.66
Re (0.5140, 0.3406, 0.6454)  4 Se 2.53-2.55, 4 Re 2.64-2.65, 1 Br 2.66
Re (0.5529, 0.7275, 0.4210)  3 Se 2.50-2.56, 2 Br 2.65-2.66, 4 Re 2.65-2.66
Re (0.6454, 0.5140, 0.3406)  4 Se 2.53-2.55, 4 Re 2.64-2.65, 1 Br 2.66
Re (0.7275, 0.4210, 0.5529)  3 Se 2.50-2.56, 2 Br 2.65-2.66, 4 Re 2.65-2.66
Re (0.8406, 0.0140, 0.1454)  4 Se 2.53-2.55, 4 Re 2.64-2.65, 1 Br 2.66
Re (0.9210, 0.2275, 0.0529)  3 Se 2.50-2.56, 2 Br 2.65-2.66, 4 Re 2.65-2.66
Se (0.0925, 0.3455, 0.7570)  3 Re 2.53-2.56
Se (0.2227, 0.4763, 0.8100)  3 Re 2.50-2.55
Se (0.2570, 0.8455, 0.5925)  3 Re 2.53-2.56
Se (0.3100, 0.9763, 0.7227)  3 Re 2.50-2.55
Se (0.3455, 0.7570, 0.0925)  3 Re 2.53-2.56
Se (0.4370, 0.4370, 0.4370)  3 Re 2.54
Se (0.4763, 0.8100, 0.2227)  3 Re 2.50-2.55
Se (0.5925, 0.2570, 0.8455)  3 Re 2.53-2.56
Se (0.7227, 0.3100, 0.9763)  3 Re 2.50-2.55
Se (0.7570, 0.0925, 0.3455)  3 Re 2.53-2.56
Se (0.8100, 0.2227, 0.4763)  3 Re 2.50-2.55
Se (0.8455, 0.5925, 0.2570)  3 Re 2.53-2.56
Se (0.9370, 0.9370, 0.9370)  3 Re 2.54
Se (0.9763, 0.7227, 0.3100)  3 Re 2.50-2.55
Br (0.0066, 0.2852, 0.5599)  2 Re 2.66
Br (0.0599, 0.7852, 0.5066)  2 Re 2.66
Br (0.1340, 0.1340, 0.1340)  3 Re 2.65
Br (0.2852, 0.5599, 0.0066)  2 Re 2.66
Br (0.5066, 0.0599, 0.7852)  2 Re 2.66
Br (0.5599, 0.0066, 0.2852)  2 Re 2.66
Br (0.6340, 0.6340, 0.6340)  3 Re 2.65
Br (0.7852, 0.5066, 0.0599)  2 Re 2.66

Computed properties:
The value obtained for the formation energy is -0.595 eV per atom. The symmetry is R3c. The theoretical density comes out at 7.1 g cm⁻³. Its crystal system is trigonal.

***

(4)
Here is an optimized crystal structure of Re3Se4Br3 from Materials Project. Energies are from PBE.

Unit cell a=9.2946 b=9.4330 c=13.2266 alpha=83.62 beta=83.59 gamma=82.59
Closest atoms and distances in Å follow each position.
Atoms (fractional coordinates):
Re (0.0100, 0.0144, 0.3567)  4 Se 2.54-2.59, 1 Br 2.54, 4 Re 2.61-2.72
Re (0.1120, 0.8105, 0.4985)  4 Se 2.49-2.53, 1 Br 2.53, 4 Re 2.66-2.72
Re (0.1675, 0.0824, 0.4923)  4 Se 2.55-2.59, 1 Br 2.55, 4 Re 2.61-2.67
Re (0.3090, 0.5257, 0.0539)  4 Se 2.52-2.63, 1 Br 2.55, 4 Re 2.61-2.69
Re (0.4431, 0.4231, 0.8813)  4 Se 2.49-2.56, 1 Br 2.51, 4 Re 2.66-2.71
Re (0.4788, 0.6858, 0.9333)  4 Se 2.53-2.57, 1 Br 2.54, 4 Re 2.61-2.71
Re (0.5212, 0.3142, 0.0667)  4 Se 2.53-2.57, 1 Br 2.54, 4 Re 2.61-2.71
Re (0.5569, 0.5769, 0.1187)  4 Se 2.49-2.56, 1 Br 2.51, 4 Re 2.66-2.71
Re (0.6910, 0.4743, 0.9461)  4 Se 2.52-2.63, 1 Br 2.55, 4 Re 2.61-2.69
Re (0.8325, 0.9176, 0.5077)  4 Se 2.55-2.59, 1 Br 2.55, 4 Re 2.61-2.67
Re (0.8880, 0.1895, 0.5015)  4 Se 2.49-2.53, 1 Br 2.53, 4 Re 2.66-2.72
Re (0.9900, 0.9856, 0.6433)  4 Se 2.54-2.59, 1 Br 2.54, 4 Re 2.61-2.72
Se (0.0450, 0.2479, 0.6285)  3 Re 2.49-2.59
Se (0.0652, 0.2718, 0.3540)  3 Re 2.53-2.58
Se (0.2369, 0.6286, 0.8793)  3 Re 2.53-2.57
Se (0.2581, 0.8867, 0.6297)  3 Re 2.53-2.57
Se (0.2748, 0.2805, 0.0094)  3 Re 2.52-2.56
Se (0.2829, 0.9165, 0.3584)  3 Re 2.51-2.59
Se (0.3581, 0.7789, 0.0983)  3 Re 2.49-2.63
Se (0.3981, 0.4162, 0.2291)  3 Re 2.49-2.61
Se (0.6019, 0.5838, 0.7709)  3 Re 2.49-2.61
Se (0.6419, 0.2211, 0.9017)  3 Re 2.49-2.63
Se (0.7171, 0.0835, 0.6416)  3 Re 2.51-2.59
Se (0.7252, 0.7195, 0.9906)  3 Re 2.52-2.56
Se (0.7419, 0.1133, 0.3703)  3 Re 2.53-2.57
Se (0.7631, 0.3714, 0.1207)  3 Re 2.53-2.57
Se (0.9348, 0.7282, 0.6460)  3 Re 2.53-2.58
Se (0.9550, 0.7521, 0.3715)  3 Re 2.49-2.59
Br (0.0231, 0.0305, 0.1628)  1 Re 2.54
Br (0.0487, 0.5760, 0.1355)  1 Re 2.55
Br (0.2616, 0.5669, 0.4961)  1 Re 2.53
Br (0.3597, 0.3206, 0.7336)  1 Re 2.51
Br (0.3995, 0.2032, 0.4847)  1 Re 2.55
Br (0.4492, 0.9407, 0.8458)  1 Re 2.54
Br (0.5508, 0.0593, 0.1542)  1 Re 2.54
Br (0.6005, 0.7968, 0.5153)  1 Re 2.55
Br (0.6403, 0.6794, 0.2664)  1 Re 2.51
Br (0.7384, 0.4331, 0.5039)  1 Re 2.53
Br (0.9513, 0.4240, 0.8645)  1 Re 2.55
Br (0.9769, 0.9695, 0.8372)  1 Re 2.54

Computed properties:
The value obtained for the formation energy is -0.543 eV per atom. The symmetry is P-1. The theoretical density comes out at 6.5 g cm⁻³. Its crystal system is triclinic.